Record 1
This record from the Materials Project database describes a geometry-optimized Mo3H12C4NO10 structure. The functional is meta-GGA r2SCAN.

Properties
Spin magnetization ... 1.00 μB/f.u.
DFT formation energy ... -0.937 eV per atom

Unit cell a=10.0066 b=10.0066 c=10.0066 alpha=120.73 beta=120.73 gamma=88.73
With the nearest neighbours (Å) after each atom.
Fractional positions:
1 Mo 0.1624 0.1624 0.0000  1 O 1.67
2 Mo 0.1662 0.1662 0.3324  1 O 1.68
3 Mo 0.1662 0.8338 0.0000  1 O 1.68
4 Mo 0.8338 0.1662 0.0000  1 O 1.68
5 Mo 0.8338 0.8338 0.6676  1 O 1.68
6 Mo 0.8376 0.8376 0.0000  1 O 1.67
7 H 0.0218 0.7340 0.2879  1 C 1.09
8 H 0.0249 0.5557 0.2887  1 C 1.09
9 H 0.0249 0.7362 0.4693  1 C 1.09
10 H 0.2638 0.7330 0.2887  1 C 1.09
11 H 0.2638 0.9751 0.5307  1 C 1.09
12 H 0.2660 0.5539 0.2879  1 C 1.09
13 H 0.2660 0.9782 0.7121  1 C 1.09
14 H 0.2670 0.5557 0.5307  1 C 1.09
15 H 0.2670 0.7362 0.7113  1 C 1.09
16 H 0.4443 0.7330 0.4693  1 C 1.09
17 H 0.4443 0.9751 0.7113  1 C 1.09
18 H 0.4461 0.7340 0.7121  1 C 1.09
19 H 0.5539 0.2660 0.2879  1 C 1.09
20 H 0.5557 0.0249 0.2887  1 C 1.09
21 H 0.5557 0.2670 0.5307  1 C 1.09
22 H 0.7330 0.2638 0.2887  1 C 1.09
23 H 0.7330 0.4443 0.4693  1 C 1.09
24 H 0.7340 0.0218 0.2879  1 C 1.09
25 H 0.7340 0.4461 0.7121  1 C 1.09
26 H 0.7362 0.0249 0.4693  1 C 1.09
27 H 0.7362 0.2670 0.7113  1 C 1.09
28 H 0.9751 0.2638 0.5307  1 C 1.09
29 H 0.9751 0.4443 0.7113  1 C 1.09
30 H 0.9782 0.2660 0.7121  1 C 1.09
31 C 0.0660 0.6893 0.3768  3 H 1.09
32 C 0.3107 0.6875 0.3768  3 H 1.09
33 C 0.3107 0.9340 0.6232  3 H 1.09
34 C 0.3125 0.6893 0.6232  3 H 1.09
35 C 0.6875 0.3107 0.3768  3 H 1.09
36 C 0.6893 0.0660 0.3768  3 H 1.09
37 C 0.6893 0.3125 0.6232  3 H 1.09
38 C 0.9340 0.3107 0.6232  3 H 1.09
39 N 0.2500 0.7500 0.5000  4 C 1.50
40 N 0.7500 0.2500 0.5000  4 C 1.50
41 O 0.0000 0.0000 0.0000  6 Mo 2.32-2.33
42 O 0.0000 0.2677 0.2677  2 Mo 1.93
43 O 0.0000 0.7323 0.7323  2 Mo 1.93
44 O 0.0030 0.0030 0.2680  2 Mo 1.93
45 O 0.0030 0.7350 0.0000  2 Mo 1.93
46 O 0.2650 0.2650 0.2680  2 Mo 1.93
47 O 0.2650 0.9970 0.0000  2 Mo 1.93
48 O 0.2677 0.0000 0.2677  2 Mo 1.93
49 O 0.2795 0.2795 0.0000  1 Mo 1.67
50 O 0.2861 0.2861 0.5721  1 Mo 1.68
51 O 0.2861 0.7139 0.0000  1 Mo 1.68
52 O 0.5000 0.5000 0.0000  6 O 2.99-3.15
53 O 0.7139 0.2861 0.0000  1 Mo 1.68
54 O 0.7139 0.7139 0.4279  1 Mo 1.68
55 O 0.7205 0.7205 0.0000  1 Mo 1.67
56 O 0.7323 0.0000 0.7323  2 Mo 1.93
57 O 0.7350 0.0030 0.0000  2 Mo 1.93
58 O 0.7350 0.7350 0.7320  2 Mo 1.93
59 O 0.9970 0.2650 0.0000  2 Mo 1.93
60 O 0.9970 0.9970 0.7320  2 Mo 1.93

Record 2
This record from the Materials Project database describes a geometry-optimized YbFe2Si2 structure. The functional is meta-GGA r2SCAN.

Properties
Spin magnetization ... 0.00 μB/f.u.
DFT formation energy ... -0.502 eV per atom

Unit cell a=3.9157 b=3.9157 c=9.3134 alpha=90.00 beta=90.00 gamma=90.00
With the nearest neighbours (Å) after each atom.
Fractional positions:
1 Yb 0.0000 0.0000 0.0000  8 Si 3.04, 8 Fe 3.04
2 Yb 0.5000 0.5000 0.5000  8 Si 3.04, 8 Fe 3.04
3 Fe 0.0000 0.5000 0.2500  4 Si 2.23
4 Fe 0.0000 0.5000 0.7500  4 Si 2.23
5 Fe 0.5000 0.0000 0.2500  4 Si 2.23
6 Fe 0.5000 0.0000 0.7500  4 Si 2.23
7 Si 0.0000 0.0000 0.3655  4 Fe 2.23
8 Si 0.0000 0.0000 0.6345  4 Fe 2.23
9 Si 0.5000 0.5000 0.1345  4 Fe 2.23
10 Si 0.5000 0.5000 0.8655  4 Fe 2.23

Record 3
This record from the Materials Project database describes a geometry-optimized Yb2TiCuO6 structure. The functional is meta-GGA r2SCAN.

Properties
Spin magnetization ... 1.25 μB/f.u.
DFT formation energy ... -3.055 eV per atom

Unit cell a=3.5194 b=3.5194 c=11.2576 alpha=90.00 beta=90.00 gamma=120.00
With the nearest neighbours (Å) after each atom.
Fractional positions:
1 Yb 0.0000 0.0000 0.2258  6 O 2.13-2.37
2 Yb 0.0000 0.0000 0.7742  6 O 2.13-2.37
3 Ti 0.3333 0.6667 0.5000  5 O 1.87-2.03
4 Cu 0.6667 0.3333 0.0000  5 O 1.90-2.03
5 O 0.0000 0.0000 0.0000  3 Cu 2.03
6 O 0.0000 0.0000 0.5000  3 Ti 2.03
7 O 0.3333 0.6667 0.3342  1 Ti 1.87
8 O 0.3333 0.6667 0.6657  1 Ti 1.87
9 O 0.6667 0.3333 0.1691  1 Cu 1.90, 3 Yb 2.13
10 O 0.6667 0.3333 0.8309  1 Cu 1.90, 3 Yb 2.13

Record 4
This record from the Materials Project database describes a geometry-optimized CeAl2Ga2 structure. The functional is meta-GGA r2SCAN.

Properties
Spin magnetization ... 0.98 μB/f.u.
DFT formation energy ... -0.503 eV per atom

Unit cell a=4.1824 b=4.1824 c=11.2040 alpha=90.00 beta=90.00 gamma=90.00
With the nearest neighbours (Å) after each atom.
Fractional positions:
1 Ce 0.0000 0.0000 0.0000  8 Ga 3.21, 8 Al 3.50
2 Ce 0.5000 0.5000 0.5000  8 Ga 3.21, 8 Al 3.50
3 Al 0.0000 0.5000 0.2500  4 Ga 2.60
4 Al 0.0000 0.5000 0.7500  4 Ga 2.60
5 Al 0.5000 0.0000 0.2500  4 Ga 2.60
6 Al 0.5000 0.0000 0.7500  4 Ga 2.60
7 Ga 0.0000 0.0000 0.3878  1 Ga 2.51, 4 Al 2.60
8 Ga 0.0000 0.0000 0.6122  1 Ga 2.51, 4 Al 2.60
9 Ga 0.5000 0.5000 0.1122  1 Ga 2.51, 4 Al 2.60
10 Ga 0.5000 0.5000 0.8878  1 Ga 2.51, 4 Al 2.60

Record 5
This record from the Materials Project database describes a geometry-optimized Y2HgO4 structure. The functional is meta-GGA r2SCAN.

Properties
Spin magnetization ... 0.00 μB/f.u.
DFT formation energy ... -2.902 eV per atom

Unit cell a=7.0346 b=7.0346 c=10.0804 alpha=121.47 beta=121.47 gamma=29.70
With the nearest neighbours (Å) after each atom.
Fractional positions:
1 Y 0.1190 0.1190 0.4615  7 O 2.23-2.49
2 Y 0.3397 0.3397 0.1995  6 O 2.21-2.44
3 Y 0.6603 0.6603 0.8005  6 O 2.21-2.44
4 Y 0.8810 0.8810 0.5385  7 O 2.23-2.49
5 Hg 0.3869 0.3869 0.8388  2 O 2.01
6 Hg 0.6131 0.6131 0.1612  2 O 2.01
7 O 0.0827 0.0827 0.6528  4 Y 2.21-2.33
8 O 0.2661 0.2661 0.3863  4 Y 2.34-2.57
9 O 0.2977 0.2977 0.9459  1 Hg 2.01
10 O 0.4650 0.4650 0.7176  1 Hg 2.01
11 O 0.5350 0.5350 0.2824  1 Hg 2.01
12 O 0.7023 0.7023 0.0541  1 Hg 2.01
13 O 0.7339 0.7339 0.6137  4 Y 2.34-2.57
14 O 0.9173 0.9173 0.3472  4 Y 2.21-2.33

Record 6
This record from the Materials Project database describes a geometry-optimized Ho2Ti3Si4 structure. The functional is meta-GGA r2SCAN.

Properties
Spin magnetization ... 1.32 μB/f.u.
DFT formation energy ... -0.859 eV per atom

Unit cell a=7.0288 b=7.0288 c=12.9065 alpha=90.00 beta=90.00 gamma=90.00
With the nearest neighbours (Å) after each atom.
Fractional positions:
1 Ho 0.0007 0.3409 0.0340  7 Si 2.82-3.11
2 Ho 0.1591 0.5007 0.2840  7 Si 2.82-3.11
3 Ho 0.3409 0.0007 0.9660  7 Si 2.82-3.11
4 Ho 0.4993 0.8409 0.2160  7 Si 2.82-3.11
5 Ho 0.5007 0.1591 0.7160  7 Si 2.82-3.11
6 Ho 0.6591 0.9993 0.4660  7 Si 2.82-3.11
7 Ho 0.8409 0.4993 0.7840  7 Si 2.82-3.11
8 Ho 0.9993 0.6591 0.5340  7 Si 2.82-3.11
9 Ti 0.0080 0.1521 0.6238  6 Si 2.55-2.73
10 Ti 0.1521 0.0080 0.3762  6 Si 2.55-2.73
11 Ti 0.1723 0.8277 0.7500  6 Si 2.68-2.79
12 Ti 0.3277 0.3277 0.5000  6 Si 2.68-2.79
13 Ti 0.3479 0.5080 0.8738  6 Si 2.55-2.73
14 Ti 0.4920 0.6521 0.6262  6 Si 2.55-2.73
15 Ti 0.5080 0.3479 0.1262  6 Si 2.55-2.73
16 Ti 0.6521 0.4920 0.3738  6 Si 2.55-2.73
17 Ti 0.6723 0.6723 0.0000  6 Si 2.68-2.79
18 Ti 0.8277 0.1723 0.2500  6 Si 2.68-2.79
19 Ti 0.8479 0.9920 0.8762  6 Si 2.55-2.73
20 Ti 0.9920 0.8479 0.1238  6 Si 2.55-2.73
21 Si 0.0481 0.7092 0.9357  1 Si 2.49, 5 Ti 2.55-2.78
22 Si 0.1310 0.2039 0.8164  1 Si 2.49, 3 Ti 2.60-2.73
23 Si 0.2039 0.1310 0.1836  1 Si 2.49, 3 Ti 2.60-2.73
24 Si 0.2092 0.4519 0.6857  1 Si 2.49, 5 Ti 2.55-2.78
25 Si 0.2908 0.9519 0.5643  1 Si 2.49, 5 Ti 2.55-2.78
26 Si 0.2961 0.6310 0.0664  1 Si 2.49, 3 Ti 2.60-2.73
27 Si 0.3690 0.7039 0.4336  1 Si 2.49, 3 Ti 2.60-2.73
28 Si 0.4519 0.2092 0.3143  1 Si 2.49, 5 Ti 2.55-2.78
29 Si 0.5481 0.7908 0.8143  1 Si 2.49, 5 Ti 2.55-2.78
30 Si 0.6310 0.2961 0.9336  1 Si 2.49, 3 Ti 2.60-2.73
31 Si 0.7039 0.3690 0.5664  1 Si 2.49, 3 Ti 2.60-2.73
32 Si 0.7092 0.0481 0.0643  1 Si 2.49, 5 Ti 2.55-2.78
33 Si 0.7908 0.5481 0.1857  1 Si 2.49, 5 Ti 2.55-2.78
34 Si 0.7961 0.8690 0.6836  1 Si 2.49, 3 Ti 2.60-2.73
35 Si 0.8690 0.7961 0.3164  1 Si 2.49, 3 Ti 2.60-2.73
36 Si 0.9519 0.2908 0.4357  1 Si 2.49, 5 Ti 2.55-2.78

Record 7
This record from the Materials Project database describes a geometry-optimized GaFe3 structure. The functional is meta-GGA r2SCAN.

Properties
Spin magnetization ... 7.27 μB/f.u.
DFT formation energy ... -0.127 eV per atom

Unit cell a=3.6380 b=3.6380 c=3.6380 alpha=90.00 beta=90.00 gamma=90.00
With the nearest neighbours (Å) after each atom.
Fractional positions:
1 Ga 0.0000 0.0000 0.0000  12 Fe 2.57
2 Fe 0.0000 0.5000 0.5000  8 Fe 2.57, 4 Ga 2.57
3 Fe 0.5000 0.0000 0.5000  8 Fe 2.57, 4 Ga 2.57
4 Fe 0.5000 0.5000 0.0000  8 Fe 2.57, 4 Ga 2.57

Record 8
This record from the Materials Project database describes a geometry-optimized Ca2Sb2S5 structure. The functional is meta-GGA r2SCAN.

Properties
Spin magnetization ... 0.00 μB/f.u.
DFT formation energy ... -1.248 eV per atom

Unit cell a=15.1506 b=5.7309 c=11.4386 alpha=90.00 beta=110.92 gamma=90.00
With the nearest neighbours (Å) after each atom.
Fractional positions:
1 Ca 0.1064 0.2251 0.3075  6 S 2.81-2.91
2 Ca 0.1064 0.2749 0.8075  6 S 2.81-2.91
3 Ca 0.3338 0.2334 0.1678  7 S 2.89-3.00
4 Ca 0.3338 0.2666 0.6678  7 S 2.89-3.00
5 Ca 0.6662 0.7334 0.3322  7 S 2.89-3.00
6 Ca 0.6662 0.7666 0.8322  7 S 2.89-3.00
7 Ca 0.8936 0.7251 0.1925  6 S 2.81-2.91
8 Ca 0.8936 0.7749 0.6925  6 S 2.81-2.91
9 Sb 0.1259 0.7379 0.5752  3 S 2.45-2.48
10 Sb 0.1259 0.7621 0.0752  3 S 2.45-2.48
11 Sb 0.3851 0.6553 0.9457  3 S 2.44-2.56
12 Sb 0.3851 0.8447 0.4457  3 S 2.44-2.56
13 Sb 0.6149 0.1553 0.5543  3 S 2.44-2.56
14 Sb 0.6149 0.3447 0.0543  3 S 2.44-2.56
15 Sb 0.8741 0.2379 0.9248  3 S 2.45-2.48
16 Sb 0.8741 0.2621 0.4248  3 S 2.45-2.48
17 S 0.0965 0.7268 0.2741  1 Sb 2.48
18 S 0.0965 0.7732 0.7741  1 Sb 2.48
19 S 0.1224 0.1925 0.0650  1 Sb 2.47
20 S 0.1224 0.3075 0.5650  1 Sb 2.47
21 S 0.2988 0.7338 0.1601  1 Sb 2.45
22 S 0.2988 0.7662 0.6601  1 Sb 2.45
23 S 0.3048 0.2212 0.4044  1 Sb 2.44
24 S 0.3048 0.2788 0.9044  1 Sb 2.44
25 S 0.4995 0.0081 0.6521  2 Sb 2.53-2.56
26 S 0.4995 0.4919 0.1521  2 Sb 2.53-2.56
27 S 0.5005 0.5081 0.8479  2 Sb 2.53-2.56
28 S 0.5005 0.9919 0.3479  2 Sb 2.53-2.56
29 S 0.6952 0.7212 0.0956  1 Sb 2.44
30 S 0.6952 0.7788 0.5956  1 Sb 2.44
31 S 0.7012 0.2338 0.3399  1 Sb 2.45
32 S 0.7012 0.2662 0.8399  1 Sb 2.45
33 S 0.8776 0.6925 0.4350  1 Sb 2.47
34 S 0.8776 0.8075 0.9350  1 Sb 2.47
35 S 0.9035 0.2268 0.2259  1 Sb 2.48
36 S 0.9035 0.2732 0.7259  1 Sb 2.48

Record 9
This record from the Materials Project database describes a geometry-optimized Ho8In3Co structure. The functional is meta-GGA r2SCAN.

Properties
Spin magnetization ... 0.02 μB/f.u.
DFT formation energy ... -0.436 eV per atom

Unit cell a=10.2608 b=10.2608 c=6.9882 alpha=90.00 beta=90.00 gamma=120.00
With the nearest neighbours (Å) after each atom.
Fractional positions:
1 Ho 0.0000 0.0000 0.2806  6 In 3.35-3.42, 8 Ho 3.49-3.72
2 Ho 0.0000 0.0000 0.7806  6 In 3.35-3.42, 8 Ho 3.49-3.72
3 Ho 0.0719 0.5360 0.2922  1 Co 2.80
4 Ho 0.1780 0.3561 0.0000  1 Co 2.80, 2 In 3.05
5 Ho 0.1780 0.8220 0.0000  1 Co 2.80, 2 In 3.05
6 Ho 0.3333 0.6667 0.6836  1 Co 2.69
7 Ho 0.3561 0.1780 0.5000  1 Co 2.80, 2 In 3.05
8 Ho 0.4640 0.5360 0.2922  1 Co 2.80
9 Ho 0.4640 0.9281 0.2922  1 Co 2.80
10 Ho 0.5360 0.0719 0.7922  1 Co 2.80
11 Ho 0.5360 0.4640 0.7922  1 Co 2.80
12 Ho 0.6439 0.8220 0.0000  1 Co 2.80, 2 In 3.05
13 Ho 0.6667 0.3333 0.1836  1 Co 2.69
14 Ho 0.8220 0.1780 0.5000  1 Co 2.80, 2 In 3.05
15 Ho 0.8220 0.6439 0.5000  1 Co 2.80, 2 In 3.05
16 Ho 0.9281 0.4640 0.7922  1 Co 2.80
17 In 0.1631 0.3263 0.5413  7 Ho 3.05-3.35
18 In 0.1631 0.8369 0.5413  7 Ho 3.05-3.35
19 In 0.3263 0.1631 0.0413  7 Ho 3.05-3.35
20 In 0.6737 0.8369 0.5413  7 Ho 3.05-3.35
21 In 0.8369 0.1631 0.0413  7 Ho 3.05-3.35
22 In 0.8369 0.6737 0.0413  7 Ho 3.05-3.35
23 Co 0.3333 0.6667 0.0688  7 Ho 2.69-2.80
24 Co 0.6667 0.3333 0.5688  7 Ho 2.69-2.80

Record 10
This record from the Materials Project database describes a geometry-optimized UVN2 structure. The functional is meta-GGA r2SCAN.

Properties
Spin magnetization ... 1.10 μB/f.u.
DFT formation energy ... -1.526 eV per atom

Unit cell a=5.4930 b=3.1557 c=10.6381 alpha=90.00 beta=90.00 gamma=90.00
With the nearest neighbours (Å) after each atom.
Fractional positions:
1 U 0.0755 0.2500 0.1435  7 N 2.34-2.47
2 U 0.4245 0.7500 0.6435  7 N 2.34-2.47
3 U 0.5755 0.2500 0.3565  7 N 2.34-2.47
4 U 0.9245 0.7500 0.8565  7 N 2.34-2.47
5 V 0.0698 0.7500 0.4022  5 N 2.04-2.13
6 V 0.4302 0.2500 0.9022  5 N 2.04-2.13
7 V 0.5698 0.7500 0.0978  5 N 2.04-2.13
8 V 0.9302 0.2500 0.5978  5 N 2.04-2.13
9 N 0.1690 0.2500 0.7548  2 V 2.12-2.13, 2 U 2.34
10 N 0.2402 0.2500 0.4926  3 V 2.04-2.07
11 N 0.2598 0.7500 0.9926  3 V 2.04-2.07
12 N 0.3310 0.7500 0.2548  2 V 2.12-2.13, 2 U 2.34
13 N 0.6690 0.2500 0.7452  2 V 2.12-2.13, 2 U 2.34
14 N 0.7402 0.2500 0.0074  3 V 2.04-2.07
15 N 0.7598 0.7500 0.5074  3 V 2.04-2.07
16 N 0.8310 0.7500 0.2452  2 V 2.12-2.13, 2 U 2.34

Record 11
This record from the Materials Project database describes a geometry-optimized Y2MnCoO6 structure. The functional is meta-GGA r2SCAN.

Properties
Spin magnetization ... 6.00 μB/f.u.
DFT formation energy ... -2.885 eV per atom

Unit cell a=5.2258 b=5.5721 c=9.0974 alpha=90.00 beta=124.75 gamma=90.00
With the nearest neighbours (Å) after each atom.
Fractional positions:
1 Y 0.2298 0.0733 0.2496  6 O 2.24-2.47
2 Y 0.2298 0.4267 0.7496  6 O 2.24-2.47
3 Y 0.7702 0.5733 0.2504  6 O 2.24-2.47
4 Y 0.7702 0.9267 0.7504  6 O 2.24-2.47
5 Mn 0.5000 0.0000 0.0000  6 O 1.91-1.93
6 Mn 0.5000 0.5000 0.5000  6 O 1.91-1.93
7 Co 0.0000 0.0000 0.5000  6 O 2.01-2.07
8 Co 0.0000 0.5000 0.0000  6 O 2.01-2.07
9 O 0.1505 0.1865 0.9488  1 Mn 1.91, 1 Co 2.07
10 O 0.1505 0.3135 0.4488  1 Mn 1.91, 1 Co 2.07
11 O 0.2636 0.7082 0.9441  1 Mn 1.93, 1 Co 2.07
12 O 0.2636 0.7918 0.4441  1 Mn 1.93, 1 Co 2.07
13 O 0.3633 0.0343 0.7570  1 Mn 1.91, 1 Co 2.01
14 O 0.3633 0.4657 0.2570  1 Mn 1.91, 1 Co 2.01
15 O 0.6367 0.5343 0.7430  1 Mn 1.91, 1 Co 2.01
16 O 0.6367 0.9657 0.2430  1 Mn 1.91, 1 Co 2.01
17 O 0.7364 0.2082 0.5559  1 Mn 1.93, 1 Co 2.07
18 O 0.7364 0.2918 0.0559  1 Mn 1.93, 1 Co 2.07
19 O 0.8495 0.6865 0.5512  1 Mn 1.91, 1 Co 2.07
20 O 0.8495 0.8135 0.0512  1 Mn 1.91, 1 Co 2.07

Record 12
This record from the Materials Project database describes a geometry-optimized LaGdB12 structure. The functional is meta-GGA r2SCAN.

Properties
Spin magnetization ... 6.90 μB/f.u.
DFT formation energy ... -0.559 eV per atom

Unit cell a=4.1271 b=4.1271 c=8.2543 alpha=90.00 beta=90.00 gamma=90.00
With the nearest neighbours (Å) after each atom.
Fractional positions:
1 La 0.0000 0.0000 0.0000  24 B 3.03-3.04
2 Gd 0.0000 0.0000 0.5000  24 B 3.02-3.03
3 B 0.1994 0.5000 0.2522  5 B 1.65-1.76
4 B 0.1994 0.5000 0.7478  5 B 1.65-1.76
5 B 0.5000 0.1994 0.2522  5 B 1.65-1.76
6 B 0.5000 0.1994 0.7478  5 B 1.65-1.76
7 B 0.5000 0.5000 0.1008  5 B 1.66-1.76
8 B 0.5000 0.5000 0.4013  5 B 1.63-1.75
9 B 0.5000 0.5000 0.5987  5 B 1.63-1.75
10 B 0.5000 0.5000 0.8992  5 B 1.66-1.76
11 B 0.5000 0.8006 0.2522  5 B 1.65-1.76
12 B 0.5000 0.8006 0.7478  5 B 1.65-1.76
13 B 0.8006 0.5000 0.2522  5 B 1.65-1.76
14 B 0.8006 0.5000 0.7478  5 B 1.65-1.76